Entry from the Materials Project: CeTiNbO6 after structural relaxation (PBE).

crystal system = orthorhombic
magnetic moment = 0.11 μB per atom
energy of formation from the pure elements = -3.486 eV/atom
uncorrected energy = -0.3302 Ha/atom

CIF file:
```
data_CeTiNbO6
_chemical_formula_sum 'Ce4 Ti4 Nb4 O24'
_symmetry_space_group_name_H-M 'P n a 21'
_symmetry_Int_Tables_number 33
_cell_length_a 11.180
_cell_length_b 5.357
_cell_length_c 7.552
_cell_angle_alpha 90.00
_cell_angle_beta 90.00
_cell_angle_gamma 90.00
loop_
_symmetry_equiv_pos_as_xyz
'x,y,z'
'-x,-y,z+1/2'
'-x+1/2,y+1/2,z+1/2'
'x+1/2,-y+1/2,z'
loop_
_atom_site_label
_atom_site_type_symbol
_atom_site_fract_x
_atom_site_fract_y
_atom_site_fract_z
Ce1 Ce 0.042 0.047 0.000
Ti1 Ti 0.141 0.528 0.742
Nb1 Nb 0.147 0.534 0.256
O1 O 0.025 0.265 0.290
O2 O 0.026 0.262 0.710
O3 O 0.119 0.660 0.503
O4 O 0.145 0.438 0.998
O5 O 0.209 0.867 0.815
O6 O 0.212 0.875 0.188
```

---

Entry from the Materials Project: CeNd3 after structural relaxation (PBE).

crystal system = cubic
magnetic moment = 0.27 μB per atom
energy of formation from the pure elements = 0.083 eV/atom
uncorrected energy = -0.1829 Ha/atom

CIF file:
```
data_CeNd3
_chemical_formula_sum 'Ce1 Nd3'
_symmetry_space_group_name_H-M 'P m -3 m'
_symmetry_Int_Tables_number 221
_symmetry_space_group_name_Hall '-P 4 2 3'
_cell_length_a 5.140
_cell_length_b 5.140
_cell_length_c 5.140
_cell_angle_alpha 90.00
_cell_angle_beta 90.00
_cell_angle_gamma 90.00
loop_
_atom_site_label
_atom_site_type_symbol
_atom_site_fract_x
_atom_site_fract_y
_atom_site_fract_z
Ce1 Ce 0.000 0.000 0.000
Nd1 Nd 0.000 0.500 0.500
```

---

Entry from the Materials Project: Ce3Nd2O9 after structural relaxation (PBE).

crystal system = tetragonal
magnetic moment = 0.00 μB per atom
energy of formation from the pure elements = -3.822 eV/atom
uncorrected energy = -0.3129 Ha/atom

CIF file:
```
data_Ce3Nd2O9
_chemical_formula_sum 'Ce6 Nd4 O18'
_symmetry_space_group_name_H-M 'I -4 m 2'
_symmetry_Int_Tables_number 119
_symmetry_space_group_name_Hall 'I -4 -2'
_cell_length_a 3.900
_cell_length_b 3.900
_cell_length_c 27.892
_cell_angle_alpha 90.00
_cell_angle_beta 90.00
_cell_angle_gamma 90.00
loop_
_atom_site_label
_atom_site_type_symbol
_atom_site_fract_x
_atom_site_fract_y
_atom_site_fract_z
Ce1 Ce 0.000 0.000 0.000
Ce2 Ce 0.000 0.000 0.402
Nd1 Nd 0.000 0.000 0.193
O1 O 0.000 0.500 0.046
O2 O 0.000 0.500 0.142
O3 O 0.000 0.500 0.250
O4 O 0.000 0.500 0.552
O5 O 0.000 0.500 0.652
```

---

Entry from the Materials Project: Ce8Nd2O19 after structural relaxation (PBE).

crystal system = triclinic
magnetic moment = 0.00 μB per atom
energy of formation from the pure elements = -3.875 eV/atom
uncorrected energy = -0.3172 Ha/atom

CIF file:
```
data_Ce8Nd2O19
_chemical_formula_sum 'Ce8 Nd2 O19'
_symmetry_space_group_name_H-M 'P 1'
_symmetry_Int_Tables_number 1
_cell_length_a 3.881
_cell_length_b 3.881
_cell_length_c 27.563
_cell_angle_alpha 90.01
_cell_angle_beta 90.03
_cell_angle_gamma 90.00
loop_
_symmetry_equiv_pos_as_xyz
'x,y,z'
loop_
_atom_site_label
_atom_site_type_symbol
_atom_site_fract_x
_atom_site_fract_y
_atom_site_fract_z
Ce1 Ce 0.000 0.000 0.000
Ce2 Ce 0.000 0.003 0.398
Ce3 Ce 0.004 0.003 0.801
Ce4 Ce 0.496 0.504 0.299
Ce5 Ce 0.497 0.503 0.100
Ce6 Ce 0.501 0.501 0.702
Ce7 Ce 0.504 0.500 0.900
Ce8 Ce 0.996 0.002 0.199
Nd1 Nd 0.001 0.999 0.607
Nd2 Nd 0.502 0.500 0.493
O1 O 0.001 0.498 0.950
O2 O 0.001 0.499 0.657
O3 O 0.002 0.503 0.753
O4 O 0.003 0.501 0.442
O5 O 0.005 0.498 0.550
O6 O 0.005 0.502 0.851
O7 O 0.495 0.003 0.149
O8 O 0.496 0.002 0.249
O9 O 0.497 0.002 0.049
O10 O 0.497 0.006 0.350
O11 O 0.501 0.002 0.750
O12 O 0.501 0.998 0.648
O13 O 0.501 0.999 0.950
O14 O 0.503 0.000 0.452
O15 O 0.505 0.001 0.850
O16 O 0.995 0.503 0.249
O17 O 0.996 0.502 0.150
O18 O 0.996 0.507 0.347
O19 O 0.998 0.503 0.050
```